Here is a relaxed structure of BiP4O12 from the Materials Project database. Energies are from GGA-PBE.

Cell lengths 18.0636, 11.8802, 5.2710 Å; angles 90.00, 103.56, 90.00 degrees
Closest atoms and distances in Å follow each position.
Space group C2/m (No. 12)
Symmetry-distinct sites (fractional):
Bi (0.1578, 0.0000, 0.1051)  6 O 2.28-2.41
P (0.0834, 0.1842, 0.5024)  4 O 1.49-1.60
P (0.1834, 0.3790, 0.4002)  4 O 1.50-1.62
O (0.0000, 0.2307, 0.5000)  2 P 1.60
O (0.0779, 0.1194, 0.2512)  1 P 1.52
O (0.1184, 0.1271, 0.7544)  1 P 1.49
O (0.1217, 0.3046, 0.4939)  2 P 1.59
O (0.1441, 0.5000, 0.4258)  2 P 1.62
O (0.1876, 0.3584, 0.1240)  1 P 1.50
O (0.2413, 0.1263, 0.3988)  1 P 1.52

Summary:
* energy above the most stable polymorph in this dataset: 41.8 meV/atom
* ΔE_f: -2.343 eV per atom
* VASP energy: -0.2518 Ha/atom

Here is a relaxed structure of LiAlS2 from the Materials Project database. Energies are from GGA-PBE.

Cell lengths 6.5509, 7.9207, 6.2632 Å; angles 90.00, 90.00, 90.00 degrees
Closest atoms and distances in Å follow each position.
Space group Pna2_1 (No. 33)
Symmetry-distinct sites (fractional):
Li (0.0838, 0.1235, 0.0000)  4 S 2.45-2.48
Al (0.0730, 0.6263, 0.0024)  4 S 2.26-2.29
S (0.0646, 0.6130, 0.3670)  2 Al 2.26-2.29, 2 Li 2.45
S (0.0952, 0.1390, 0.3928)  2 Al 2.27-2.28, 2 Li 2.46-2.48

Summary:
* maximum piezoelectric response: 1.0 C/m2
* ΔE_f: -1.531 eV per atom
* VASP energy: -0.1750 Ha/atom

Here is a relaxed structure of TbCoSi from the Materials Project database. Energies are from GGA-PBE.

Cell lengths 3.9896, 3.9896, 6.6659 Å; angles 90.00, 90.00, 90.00 degrees
Closest atoms and distances in Å follow each position.
Space group P4/nmm (No. 129, origin choice 2)
Symmetry-distinct sites (fractional):
Tb (0.2500, 0.2500, 0.1827)  4 Co 2.91, 4 Si 2.96
Co (0.2500, 0.7500, 0.5000)  4 Si 2.34
Si (0.2500, 0.2500, 0.6847)  4 Co 2.34

Summary:
* ΔE_f: -0.718 eV per atom
* VASP energy: -0.2376 Ha/atom

Here is a relaxed structure of OsN from the Materials Project database. Energies are from GGA-PBE.

Cell lengths 2.6947, 2.6947, 6.1624 Å; angles 90.00, 90.00, 90.00 degrees
Closest atoms and distances in Å follow each position.
Space group P4_2/mmc (No. 131)
Symmetry-distinct sites (fractional):
Os (0.0000, 0.5000, 0.0000)  4 N 2.05
N (0.0000, 0.0000, 0.2500)  4 Os 2.05

Summary:
* energy above the most stable polymorph in this dataset: 210.1 meV/atom
* ΔE_f: 0.450 eV per atom
* VASP energy: -0.3363 Ha/atom

Look up the ΔE_f of the fourth one. 0.450 eV per atom

What did the first record say?
Here is a relaxed structure of BiP4O12 from the Materials Project database. Energies are from GGA-PBE.

Cell lengths 18.0636, 11.8802, 5.2710 Å; angles 90.00, 103.56, 90.00 degrees
Closest atoms and distances in Å follow each position.
Space group C2/m (No. 12)
Symmetry-distinct sites (fractional):
Bi (0.1578, 0.0000, 0.1051)  6 O 2.28-2.41
P (0.0834, 0.1842, 0.5024)  4 O 1.49-1.60
P (0.1834, 0.3790, 0.4002)  4 O 1.50-1.62
O (0.0000, 0.2307, 0.5000)  2 P 1.60
O (0.0779, 0.1194, 0.2512)  1 P 1.52
O (0.1184, 0.1271, 0.7544)  1 P 1.49
O (0.1217, 0.3046, 0.4939)  2 P 1.59
O (0.1441, 0.5000, 0.4258)  2 P 1.62
O (0.1876, 0.3584, 0.1240)  1 P 1.50
O (0.2413, 0.1263, 0.3988)  1 P 1.52

Summary:
* energy above the most stable polymorph in this dataset: 41.8 meV/atom
* ΔE_f: -2.343 eV per atom
* VASP energy: -0.2518 Ha/atom